DFT (PBE) results for an optimized crystal structure of SiO2.

Cell: 13.606 20.242 20.478 Å, 90.00 90.00 90.64°
Positions (direct):
1 Si 0.180 0.555 0.080
2 Si 0.820 0.445 0.920
3 Si 0.680 0.055 0.420
4 Si 0.320 0.945 0.580
5 Si 0.336 0.531 0.186
6 Si 0.664 0.469 0.814
7 Si 0.836 0.031 0.314
8 Si 0.164 0.969 0.686
9 Si 0.553 0.562 0.220
10 Si 0.447 0.438 0.780
11 Si 0.053 0.062 0.280
12 Si 0.947 0.938 0.720
13 Si 0.537 0.562 0.376
14 Si 0.463 0.438 0.624
15 Si 0.037 0.062 0.124
16 Si 0.963 0.938 0.876
17 Si 0.324 0.528 0.423
18 Si 0.676 0.472 0.577
19 Si 0.824 0.028 0.077
20 Si 0.176 0.972 0.923
21 Si 0.187 0.556 0.304
22 Si 0.813 0.444 0.696
23 Si 0.687 0.056 0.196
24 Si 0.313 0.944 0.804
25 Si 0.181 0.329 0.075
26 Si 0.819 0.671 0.925
27 Si 0.681 0.829 0.425
28 Si 0.319 0.171 0.575
29 Si 0.326 0.373 0.188
30 Si 0.674 0.627 0.812
31 Si 0.826 0.873 0.312
32 Si 0.174 0.127 0.688
33 Si 0.536 0.324 0.227
34 Si 0.464 0.676 0.773
35 Si 0.036 0.824 0.273
36 Si 0.964 0.176 0.727
37 Si 0.534 0.324 0.381
38 Si 0.466 0.676 0.619
39 Si 0.034 0.824 0.119
40 Si 0.966 0.176 0.881
41 Si 0.325 0.371 0.429
42 Si 0.675 0.629 0.571
43 Si 0.825 0.871 0.071
44 Si 0.175 0.129 0.929
45 Si 0.186 0.335 0.309
46 Si 0.814 0.665 0.691
47 Si 0.686 0.835 0.191
48 Si 0.314 0.165 0.809
49 Si 0.165 0.943 0.072
50 Si 0.835 0.057 0.928
51 Si 0.665 0.443 0.428
52 Si 0.335 0.557 0.572
53 Si 0.312 0.973 0.188
54 Si 0.688 0.027 0.812
55 Si 0.812 0.473 0.312
56 Si 0.188 0.527 0.688
57 Si 0.529 0.939 0.223
58 Si 0.471 0.061 0.777
59 Si 0.029 0.439 0.277
60 Si 0.971 0.561 0.723
61 Si 0.534 0.936 0.378
62 Si 0.466 0.064 0.622
63 Si 0.034 0.436 0.122
64 Si 0.966 0.564 0.878
65 Si 0.322 0.973 0.429
66 Si 0.678 0.027 0.571
67 Si 0.822 0.473 0.071
68 Si 0.178 0.527 0.929
69 Si 0.183 0.938 0.313
70 Si 0.817 0.062 0.687
71 Si 0.683 0.438 0.187
72 Si 0.317 0.562 0.813
73 Si 0.186 0.172 0.076
74 Si 0.814 0.828 0.924
75 Si 0.686 0.672 0.424
76 Si 0.314 0.328 0.576
77 Si 0.332 0.132 0.187
78 Si 0.668 0.868 0.813
79 Si 0.832 0.632 0.313
80 Si 0.168 0.368 0.687
81 Si 0.546 0.169 0.227
82 Si 0.454 0.831 0.773
83 Si 0.046 0.669 0.273
84 Si 0.954 0.331 0.727
85 Si 0.539 0.170 0.381
86 Si 0.461 0.830 0.619
87 Si 0.039 0.670 0.119
88 Si 0.961 0.330 0.881
89 Si 0.322 0.131 0.427
90 Si 0.678 0.869 0.573
91 Si 0.822 0.631 0.073
92 Si 0.178 0.369 0.927
93 Si 0.202 0.181 0.306
94 Si 0.798 0.819 0.694
95 Si 0.702 0.681 0.194
96 Si 0.298 0.319 0.806
97 O 0.280 0.559 0.122
98 O 0.720 0.441 0.878
99 O 0.780 0.059 0.378
100 O 0.220 0.941 0.622
101 O 0.444 0.566 0.190
102 O 0.556 0.434 0.810
103 O 0.944 0.066 0.310
104 O 0.056 0.934 0.690
105 O 0.546 0.548 0.298
106 O 0.454 0.452 0.702
107 O 0.046 0.048 0.202
108 O 0.954 0.952 0.798
109 O 0.422 0.567 0.397
110 O 0.578 0.433 0.603
111 O 0.922 0.067 0.103
112 O 0.078 0.933 0.897
113 O 0.231 0.544 0.377
114 O 0.769 0.456 0.623
115 O 0.731 0.044 0.123
116 O 0.269 0.956 0.877
117 O 0.275 0.548 0.252
118 O 0.725 0.452 0.748
119 O 0.775 0.048 0.248
120 O 0.225 0.952 0.752
121 O 0.271 0.347 0.123
122 O 0.729 0.653 0.877
123 O 0.771 0.847 0.377
124 O 0.229 0.153 0.623
125 O 0.428 0.333 0.195
126 O 0.572 0.667 0.805
127 O 0.928 0.833 0.305
128 O 0.072 0.167 0.695
129 O 0.532 0.344 0.304
130 O 0.468 0.656 0.696
131 O 0.032 0.844 0.196
132 O 0.968 0.156 0.804
133 O 0.425 0.331 0.411
134 O 0.575 0.669 0.589
135 O 0.925 0.831 0.089
136 O 0.075 0.169 0.911
137 O 0.237 0.349 0.379
138 O 0.763 0.651 0.621
139 O 0.737 0.849 0.121
140 O 0.263 0.151 0.879
141 O 0.258 0.362 0.252
142 O 0.742 0.638 0.748
143 O 0.758 0.862 0.248
144 O 0.242 0.138 0.752
145 O 0.351 0.452 0.181
146 O 0.649 0.548 0.819
147 O 0.851 0.952 0.319
148 O 0.149 0.048 0.681
149 O 0.347 0.449 0.422
150 O 0.653 0.551 0.578
151 O 0.847 0.949 0.078
152 O 0.153 0.051 0.922
153 O 0.123 0.625 0.086
154 O 0.877 0.375 0.914
155 O 0.623 0.125 0.414
156 O 0.377 0.875 0.586
157 O 0.111 0.496 0.108
158 O 0.889 0.504 0.892
159 O 0.611 0.996 0.392
160 O 0.389 0.004 0.608
161 O 0.081 0.366 0.098
162 O 0.919 0.634 0.902
163 O 0.581 0.866 0.402
164 O 0.419 0.134 0.598
165 O 0.141 0.630 0.300
166 O 0.859 0.370 0.700
167 O 0.641 0.130 0.200
168 O 0.359 0.870 0.800
169 O 0.099 0.503 0.290
170 O 0.901 0.497 0.710
171 O 0.599 0.003 0.210
172 O 0.401 0.997 0.790
173 O 0.081 0.373 0.305
174 O 0.919 0.627 0.695
175 O 0.581 0.873 0.195
176 O 0.419 0.127 0.805
177 O 0.296 0.551 0.497
178 O 0.704 0.449 0.503
179 O 0.796 0.051 0.003
180 O 0.204 0.949 0.997
181 O 0.291 0.352 0.502
182 O 0.709 0.648 0.498
183 O 0.791 0.852 0.998
184 O 0.209 0.148 0.002
185 O 0.159 0.250 0.076
186 O 0.841 0.750 0.924
187 O 0.659 0.750 0.424
188 O 0.341 0.250 0.576
189 O 0.165 0.256 0.301
190 O 0.835 0.744 0.699
191 O 0.665 0.756 0.199
192 O 0.335 0.244 0.801
193 O 0.567 0.247 0.218
194 O 0.433 0.753 0.782
195 O 0.067 0.747 0.282
196 O 0.933 0.253 0.718
197 O 0.569 0.248 0.390
198 O 0.431 0.752 0.610
199 O 0.069 0.748 0.110
200 O 0.931 0.252 0.890
201 O 0.259 0.950 0.120
202 O 0.741 0.050 0.880
203 O 0.759 0.450 0.380
204 O 0.241 0.550 0.620
205 O 0.425 0.948 0.186
206 O 0.575 0.052 0.814
207 O 0.925 0.448 0.314
208 O 0.075 0.552 0.686
209 O 0.510 0.932 0.301
210 O 0.490 0.068 0.699
211 O 0.010 0.432 0.199
212 O 0.990 0.568 0.801
213 O 0.433 0.948 0.419
214 O 0.567 0.052 0.581
215 O 0.933 0.448 0.081
216 O 0.067 0.552 0.919
217 O 0.247 0.935 0.379
218 O 0.753 0.065 0.621
219 O 0.747 0.435 0.121
220 O 0.253 0.565 0.879
221 O 0.255 0.940 0.249
222 O 0.745 0.060 0.751
223 O 0.755 0.440 0.251
224 O 0.245 0.560 0.749
225 O 0.283 0.159 0.120
226 O 0.717 0.841 0.880
227 O 0.783 0.659 0.380
228 O 0.217 0.341 0.620
229 O 0.449 0.146 0.185
230 O 0.551 0.854 0.815
231 O 0.949 0.646 0.315
232 O 0.051 0.354 0.685
233 O 0.527 0.152 0.304
234 O 0.473 0.848 0.696
235 O 0.027 0.652 0.196
236 O 0.973 0.348 0.804
237 O 0.435 0.156 0.418
238 O 0.565 0.844 0.582
239 O 0.935 0.656 0.082
240 O 0.065 0.344 0.918
241 O 0.250 0.168 0.377
242 O 0.750 0.832 0.623
243 O 0.750 0.668 0.123
244 O 0.250 0.332 0.877
245 O 0.286 0.169 0.250
246 O 0.714 0.831 0.750
247 O 0.786 0.669 0.250
248 O 0.214 0.331 0.750
249 O 0.309 0.053 0.194
250 O 0.691 0.947 0.806
251 O 0.809 0.553 0.306
252 O 0.191 0.447 0.694
253 O 0.316 0.052 0.415
254 O 0.684 0.948 0.585
255 O 0.816 0.552 0.085
256 O 0.184 0.448 0.915
257 O 0.112 0.872 0.081
258 O 0.888 0.128 0.919
259 O 0.612 0.372 0.419
260 O 0.388 0.628 0.581
261 O 0.087 0.002 0.085
262 O 0.913 0.998 0.915
263 O 0.587 0.502 0.415
264 O 0.413 0.498 0.585
265 O 0.091 0.132 0.106
266 O 0.909 0.868 0.894
267 O 0.591 0.632 0.394
268 O 0.409 0.368 0.606
269 O 0.115 0.871 0.310
270 O 0.885 0.129 0.690
271 O 0.615 0.371 0.190
272 O 0.385 0.629 0.810
273 O 0.114 0.003 0.314
274 O 0.886 0.997 0.686
275 O 0.614 0.503 0.186
276 O 0.386 0.497 0.814
277 O 0.108 0.132 0.293
278 O 0.892 0.868 0.707
279 O 0.608 0.632 0.207
280 O 0.392 0.368 0.793
281 O 0.290 0.958 0.504
282 O 0.710 0.042 0.496
283 O 0.790 0.458 0.996
284 O 0.210 0.542 0.004
285 O 0.288 0.148 0.501
286 O 0.712 0.852 0.499
287 O 0.788 0.648 0.999
288 O 0.212 0.352 0.001

Energy of formation ... -3.26 eV per atom